Here is a geometry-optimized LiSm2Al structure from Materials Project. Energies are from PBE.

Computed properties:
**ΔH_f (0 K)**: -0.20 eV/atom
**Calculated volume**: 102.5 Å³ per cell

Cell: 5.253 5.253 5.253 Å, 60.00 60.00 60.00°
Sites, in units of the cell vectors:
Li  0.000  0.000  0.000
Sm  0.250  0.250  0.250
Al  0.500  0.500  0.500
Sm  0.750  0.750  0.750